# MgMn6O11F | Materials Project | GGA+U | optimized geometry
data_MgMn6O11F
_chemical_formula_sum 'Mg1 Mn6 O11 F1'
_cell_length_a 5.662
_cell_length_b 5.876
_cell_length_c 7.076
_cell_angle_alpha 70.37
_cell_angle_beta 73.94
_cell_angle_gamma 81.68
_space_group_name_H-M_alt 'P 1'
_space_group_IT_number 1
loop_
_space_group_symop_operation_xyz
'x,y,z'
loop_
_atom_site_label
_atom_site_fract_x
_atom_site_fract_y
_atom_site_fract_z
Mg1 0.000 0.000 0.000
Mn1 0.358 0.820 0.184
Mn2 0.369 0.773 0.677
Mn3 0.627 0.171 0.833
Mn4 0.652 0.168 0.351
Mn5 0.975 0.507 0.011
Mn6 0.977 0.495 0.515
O1 0.012 0.818 0.315
O2 0.090 0.596 0.713
O3 0.238 0.714 0.972
O4 0.302 0.139 0.016
O5 0.440 0.920 0.382
O6 0.533 0.059 0.645
O7 0.638 0.506 0.664
O8 0.690 0.838 0.010
O9 0.749 0.267 0.051
O10 0.903 0.380 0.310
O11 0.966 0.169 0.699
F1 0.358 0.475 0.355
# uncorrected energy: -6.995 eV/atom
# energy of formation: -2.00 eV/atom

# MgMn6O7F5 | Materials Project | GGA+U | optimized geometry
data_MgMn6O7F5
_chemical_formula_sum 'Mg1 Mn6 O7 F5'
_cell_length_a 5.182
_cell_length_b 5.958
_cell_length_c 7.846
_cell_angle_alpha 79.58
_cell_angle_beta 84.77
_cell_angle_gamma 81.89
_space_group_name_H-M_alt 'P 1'
_space_group_IT_number 1
loop_
_space_group_symop_operation_xyz
'x,y,z'
loop_
_atom_site_label
_atom_site_fract_x
_atom_site_fract_y
_atom_site_fract_z
Mg1 0.000 0.000 0.000
Mn1 0.382 0.270 0.623
Mn2 0.479 0.689 0.311
Mn3 0.486 0.085 0.032
Mn4 0.936 0.199 0.325
Mn5 0.947 0.834 0.644
Mn6 0.951 0.512 0.976
O1 0.108 0.101 0.536
O2 0.228 0.965 0.206
O3 0.230 0.252 0.884
O4 0.645 0.396 0.417
O5 0.709 0.785 0.106
O6 0.769 0.251 0.102
O7 0.792 0.584 0.771
F1 0.161 0.469 0.182
F2 0.174 0.777 0.861
F3 0.225 0.624 0.516
F4 0.696 0.903 0.455
F5 0.719 0.070 0.802
# uncorrected energy: -6.716 eV/atom
# energy of formation: -2.31 eV/atom

# MgMn6O7F5 | Materials Project | GGA+U | optimized geometry
data_MgMn6O7F5
_chemical_formula_sum 'Mg1 Mn6 O7 F5'
_cell_length_a 5.122
_cell_length_b 5.675
_cell_length_c 7.780
_cell_angle_alpha 87.21
_cell_angle_beta 85.14
_cell_angle_gamma 82.71
_space_group_name_H-M_alt 'P 1'
_space_group_IT_number 1
loop_
_space_group_symop_operation_xyz
'x,y,z'
loop_
_atom_site_label
_atom_site_fract_x
_atom_site_fract_y
_atom_site_fract_z
Mg1 0.000 0.000 0.000
Mn1 0.033 0.599 0.799
Mn2 0.048 0.919 0.463
Mn3 0.192 0.400 0.204
Mn4 0.512 0.134 0.810
Mn5 0.513 0.785 0.124
Mn6 0.592 0.488 0.494
O1 0.207 0.651 0.024
O2 0.212 0.190 0.391
O3 0.318 0.687 0.339
O4 0.321 0.138 0.045
O5 0.357 0.423 0.710
O6 0.718 0.837 0.906
O7 0.890 0.653 0.576
F1 0.197 0.944 0.734
F2 0.733 0.128 0.577
F3 0.772 0.471 0.233
F4 0.801 0.949 0.230
F5 0.834 0.304 0.901
# uncorrected energy: -6.772 eV/atom
# energy of formation: -2.37 eV/atom

# MgMn6O7F5 | Materials Project | GGA+U | optimized geometry
data_MgMn6O7F5
_chemical_formula_sum 'Mg1 Mn6 O7 F5'
_cell_length_a 5.795
_cell_length_b 5.816
_cell_length_c 7.955
_cell_angle_alpha 95.64
_cell_angle_beta 110.30
_cell_angle_gamma 112.63
_space_group_name_H-M_alt 'P 1'
_space_group_IT_number 1
loop_
_space_group_symop_operation_xyz
'x,y,z'
loop_
_atom_site_label
_atom_site_fract_x
_atom_site_fract_y
_atom_site_fract_z
Mg1 0.000 0.000 0.000
Mn1 0.013 0.615 0.184
Mn2 0.040 0.999 0.507
Mn3 0.424 0.647 0.636
Mn4 0.489 0.977 0.007
Mn5 0.552 0.290 0.355
Mn6 0.811 0.342 0.749
O1 0.161 0.747 0.451
O2 0.303 0.928 0.170
O3 0.403 0.283 0.545
O4 0.669 0.025 0.837
O5 0.693 0.323 0.172
O6 0.813 0.583 0.919
O7 0.854 0.221 0.535
F1 0.164 0.051 0.817
F2 0.213 0.363 0.169
F3 0.248 0.612 0.842
F4 0.708 0.695 0.494
F5 0.830 0.908 0.192
# uncorrected energy: -6.786 eV/atom
# energy of formation: -2.38 eV/atom

# MgMn6O5F7 | Materials Project | GGA+U | optimized geometry
data_MgMn6O5F7
_chemical_formula_sum 'Mg2 Mn12 O10 F14'
_cell_length_a 9.198
_cell_length_b 7.307
_cell_length_c 7.105
_cell_angle_alpha 90.00
_cell_angle_beta 105.63
_cell_angle_gamma 90.00
_space_group_name_H-M_alt 'C 1 2 1'
_space_group_IT_number 5
loop_
_space_group_symop_operation_xyz
'x,y,z'
'-x,y,-z'
'x+1/2,y+1/2,z'
'-x+1/2,y+1/2,-z'
loop_
_atom_site_label
_atom_site_fract_x
_atom_site_fract_y
_atom_site_fract_z
Mg1 0.000 0.000 0.000
Mn1 0.000 0.630 0.000
Mn2 0.000 0.831 0.500
Mn3 0.142 0.292 0.660
Mn4 0.196 0.294 0.156
O1 0.000 0.123 0.500
O2 0.051 0.272 0.870
O3 0.081 0.813 0.827
F1 0.000 0.514 0.500
F2 0.198 0.581 0.201
F3 0.208 0.994 0.187
F4 0.239 0.801 0.537
# uncorrected energy: -6.591 eV/atom
# energy of formation: -2.48 eV/atom

# MgMn6O5F7 | Materials Project | GGA+U | optimized geometry
data_MgMn6O5F7
_chemical_formula_sum 'Mg1 Mn6 O5 F7'
_cell_length_a 5.893
_cell_length_b 6.103
_cell_length_c 7.308
_cell_angle_alpha 70.45
_cell_angle_beta 74.55
_cell_angle_gamma 78.90
_space_group_name_H-M_alt 'P 1'
_space_group_IT_number 1
loop_
_space_group_symop_operation_xyz
'x,y,z'
loop_
_atom_site_label
_atom_site_fract_x
_atom_site_fract_y
_atom_site_fract_z
Mg1 0.000 0.000 0.000
Mn1 0.325 0.802 0.673
Mn2 0.386 0.737 0.204
Mn3 0.570 0.184 0.831
Mn4 0.655 0.174 0.361
Mn5 0.940 0.486 0.002
Mn6 0.985 0.466 0.523
O1 0.234 0.655 0.488
O2 0.351 0.925 0.920
O3 0.620 0.470 0.172
O4 0.730 0.290 0.540
O5 0.893 0.327 0.819
F1 0.003 0.128 0.212
F2 0.022 0.633 0.212
F3 0.303 0.166 0.483
F4 0.306 0.459 0.891
F5 0.630 0.014 0.144
F6 0.683 0.833 0.522
F7 0.935 0.841 0.832
# uncorrected energy: -6.551 eV/atom
# energy of formation: -2.44 eV/atom

# MgMn6O5F7 | Materials Project | GGA+U | optimized geometry
data_MgMn6O5F7
_chemical_formula_sum 'Mg2 Mn12 O10 F14'
_cell_length_a 10.677
_cell_length_b 6.555
_cell_length_c 6.621
_cell_angle_alpha 90.00
_cell_angle_beta 102.09
_cell_angle_gamma 90.00
_space_group_name_H-M_alt 'C 1 2 1'
_space_group_IT_number 5
loop_
_space_group_symop_operation_xyz
'x,y,z'
'-x,y,-z'
'x+1/2,y+1/2,z'
'-x+1/2,y+1/2,-z'
loop_
_atom_site_label
_atom_site_fract_x
_atom_site_fract_y
_atom_site_fract_z
Mg1 0.000 0.000 0.000
Mn1 0.000 0.265 0.500
Mn2 0.000 0.478 0.000
Mn3 0.151 0.721 0.640
Mn4 0.242 0.235 0.885
O1 0.000 0.555 0.500
O2 0.044 0.257 0.816
O3 0.084 0.714 0.897
F1 0.000 0.960 0.500
F2 0.182 0.028 0.158
F3 0.214 0.428 0.178
F4 0.222 0.241 0.551
# uncorrected energy: -6.660 eV/atom
# energy of formation: -2.55 eV/atom

# MgMn5O9F | Materials Project | GGA+U | optimized geometry
data_MgMn5O9F
_chemical_formula_sum 'Mg1 Mn5 O9 F1'
_cell_length_a 5.112
_cell_length_b 5.289
_cell_length_c 8.087
_cell_angle_alpha 70.99
_cell_angle_beta 72.44
_cell_angle_gamma 78.51
_space_group_name_H-M_alt 'P 1'
_space_group_IT_number 1
loop_
_space_group_symop_operation_xyz
'x,y,z'
loop_
_atom_site_label
_atom_site_fract_x
_atom_site_fract_y
_atom_site_fract_z
Mg1 0.000 0.000 0.000
Mn1 0.098 0.475 0.290
Mn2 0.294 0.499 0.891
Mn3 0.476 0.485 0.491
Mn4 0.694 0.520 0.087
Mn5 0.879 0.507 0.698
O1 0.047 0.294 0.118
O2 0.117 0.657 0.462
O3 0.200 0.284 0.772
O4 0.354 0.716 0.029
O5 0.465 0.316 0.312
O6 0.519 0.668 0.656
O7 0.655 0.307 0.938
O8 0.774 0.711 0.227
O9 0.950 0.725 0.874
F1 0.813 0.251 0.534
# uncorrected energy: -7.031 eV/atom
# energy of formation: -2.10 eV/atom

# MgMn8O8F8 | Materials Project | GGA+U | optimized geometry
data_MgMn8O8F8
_chemical_formula_sum 'Mg1 Mn8 O8 F8'
_cell_length_a 4.879
_cell_length_b 4.897
_cell_length_c 12.577
_cell_angle_alpha 91.25
_cell_angle_beta 90.16
_cell_angle_gamma 90.88
_space_group_name_H-M_alt 'P 1'
_space_group_IT_number 1
loop_
_space_group_symop_operation_xyz
'x,y,z'
loop_
_atom_site_label
_atom_site_fract_x
_atom_site_fract_y
_atom_site_fract_z
Mg1 0.000 0.000 0.000
Mn1 0.031 0.523 0.560
Mn2 0.033 0.518 0.074
Mn3 0.033 0.518 0.319
Mn4 0.462 0.014 0.195
Mn5 0.467 0.029 0.679
Mn6 0.509 0.905 0.915
Mn7 0.528 0.955 0.439
Mn8 0.957 0.457 0.801
O1 0.175 0.316 0.682
O2 0.189 0.332 0.189
O3 0.310 0.811 0.057
O4 0.316 0.815 0.562
O5 0.335 0.796 0.322
O6 0.680 0.164 0.808
O7 0.838 0.664 0.941
O8 0.848 0.683 0.439
F1 0.213 0.270 0.933
F2 0.236 0.289 0.439
F3 0.241 0.780 0.800
F4 0.719 0.194 0.552
F5 0.722 0.215 0.062
F6 0.723 0.214 0.316
F7 0.757 0.702 0.684
F8 0.818 0.753 0.184
# uncorrected energy: -6.639 eV/atom
# energy of formation: -2.35 eV/atom

# MgMn4O4F4 | Materials Project | GGA+U | optimized geometry
data_MgMn4O4F4
_chemical_formula_sum 'Mg1 Mn4 O4 F4'
_cell_length_a 5.175
_cell_length_b 5.231
_cell_length_c 6.154
_cell_angle_alpha 80.50
_cell_angle_beta 86.91
_cell_angle_gamma 83.78
_space_group_name_H-M_alt 'P 1'
_space_group_IT_number 1
loop_
_space_group_symop_operation_xyz
'x,y,z'
loop_
_atom_site_label
_atom_site_fract_x
_atom_site_fract_y
_atom_site_fract_z
Mg1 0.000 0.000 0.000
Mn1 0.062 0.064 0.446
Mn2 0.509 0.564 0.242
Mn3 0.533 0.042 0.726
Mn4 0.948 0.538 0.777
O1 0.212 0.840 0.255
O2 0.352 0.260 0.478
O3 0.709 0.783 0.959
O4 0.848 0.210 0.687
F1 0.231 0.815 0.769
F2 0.267 0.277 0.930
F3 0.768 0.792 0.497
F4 0.821 0.267 0.177
# uncorrected energy: -6.667 eV/atom
# energy of formation: -2.48 eV/atom

# MgMn8O8F8 | Materials Project | GGA+U | optimized geometry
data_MgMn8O8F8
_chemical_formula_sum 'Mg1 Mn8 O8 F8'
_cell_length_a 4.777
_cell_length_b 4.953
_cell_length_c 12.524
_cell_angle_alpha 91.64
_cell_angle_beta 91.00
_cell_angle_gamma 90.55
_space_group_name_H-M_alt 'P 1'
_space_group_IT_number 1
loop_
_space_group_symop_operation_xyz
'x,y,z'
loop_
_atom_site_label
_atom_site_fract_x
_atom_site_fract_y
_atom_site_fract_z
Mg1 0.000 0.000 0.000
Mn1 0.033 0.489 0.503
Mn2 0.115 0.493 0.005
Mn3 0.492 0.988 0.865
Mn4 0.532 0.051 0.382
Mn5 0.540 0.053 0.624
Mn6 0.543 0.060 0.138
Mn7 0.957 0.536 0.256
Mn8 0.979 0.556 0.749
O1 0.166 0.745 0.878
O2 0.352 0.220 0.505
O3 0.371 0.176 0.997
O4 0.676 0.830 0.745
O5 0.688 0.867 0.256
O6 0.833 0.335 0.632
O7 0.843 0.323 0.385
O8 0.876 0.278 0.113
F1 0.191 0.786 0.125
F2 0.217 0.737 0.619
F3 0.221 0.755 0.380
F4 0.305 0.269 0.756
F5 0.345 0.299 0.252
F6 0.697 0.748 0.001
F7 0.736 0.807 0.504
F8 0.839 0.242 0.884
# uncorrected energy: -6.659 eV/atom
# energy of formation: -2.37 eV/atom

# MgMn6O11F | Materials Project | GGA+U | optimized geometry
data_MgMn6O11F
_chemical_formula_sum 'Mg1 Mn6 O11 F1'
_cell_length_a 4.917
_cell_length_b 5.558
_cell_length_c 7.524
_cell_angle_alpha 83.95
_cell_angle_beta 87.39
_cell_angle_gamma 86.39
_space_group_name_H-M_alt 'P 1'
_space_group_IT_number 1
loop_
_space_group_symop_operation_xyz
'x,y,z'
loop_
_atom_site_label
_atom_site_fract_x
_atom_site_fract_y
_atom_site_fract_z
Mg1 0.000 0.000 0.000
Mn1 0.002 0.382 0.177
Mn2 0.492 0.508 0.491
Mn3 0.497 0.853 0.168
Mn4 0.512 0.189 0.826
Mn5 0.974 0.627 0.809
Mn6 0.986 0.010 0.483
O1 0.150 0.656 0.044
O2 0.176 0.318 0.398
O3 0.307 0.471 0.722
O4 0.307 0.817 0.399
O5 0.316 0.159 0.063
O6 0.672 0.869 0.924
O7 0.679 0.205 0.588
O8 0.679 0.551 0.259
O9 0.805 0.702 0.587
O10 0.831 0.348 0.938
O11 0.840 0.064 0.250
F1 0.146 0.969 0.737
# uncorrected energy: -6.969 eV/atom
# energy of formation: -1.97 eV/atom